(1)
First-principles (GGA-PBE) data for a geometry-optimized SiH8C4Br4 structure, as listed in the Materials Project.

abc: 9.2430 9.2430 7.2709
angles: 90.00 90.00 90.00
Fractional positions:
Si: 0.0000 0.0000 0.0000
Si: 0.5000 0.5000 0.5000
H: 0.0177 0.1872 0.7510
H: 0.1429 0.2265 0.9322
H: 0.1872 0.9823 0.2490
H: 0.2265 0.8571 0.0678
H: 0.2735 0.3571 0.4322
H: 0.3128 0.4823 0.2510
H: 0.3571 0.7265 0.5678
H: 0.4823 0.6872 0.7490
H: 0.5177 0.3128 0.7490
H: 0.6429 0.2735 0.5678
H: 0.6872 0.5177 0.2510
H: 0.7265 0.6429 0.4322
H: 0.7735 0.1429 0.0678
H: 0.8128 0.0177 0.2490
H: 0.8571 0.7735 0.9322
H: 0.9823 0.8128 0.7510
C: 0.0926 0.1404 0.8515
C: 0.1404 0.9074 0.1485
C: 0.3596 0.4074 0.3515
C: 0.4074 0.6404 0.6485
C: 0.5926 0.3596 0.6485
C: 0.6404 0.5926 0.3515
C: 0.8596 0.0926 0.1485
C: 0.9074 0.8596 0.8515
Br: 0.0574 0.7482 0.2951
Br: 0.2482 0.5574 0.7951
Br: 0.2518 0.0574 0.7049
Br: 0.4426 0.2482 0.2049
Br: 0.5574 0.7518 0.2049
Br: 0.7482 0.9426 0.7049
Br: 0.7518 0.4426 0.7951
Br: 0.9426 0.2518 0.2951

## Properties
- Formation energy from the elements: -247 meV per atom
- Energy with MP2020 corrections: -4.720 eV per atom
- Total magnetization: 0.001 Bohr magnetons per cell
- Symmetry: P-42_1c (114)
- E: -4.594 eV per atom


(2)
First-principles (GGA-PBE) data for a geometry-optimized K2HgC2S2Br2N2 structure, as listed in the Materials Project.

abc: 13.2325 13.2325 11.7017
angles: 90.00 90.00 120.00
Fractional positions:
K: 0.0000 0.0000 0.0000
K: 0.0000 0.0000 0.5000
K: 0.1434 0.4684 0.2500
K: 0.3250 0.8566 0.2500
K: 0.3333 0.6667 0.5481
K: 0.3333 0.6667 0.9519
K: 0.4684 0.3250 0.7500
K: 0.5316 0.6750 0.2500
K: 0.6667 0.3333 0.0481
K: 0.6667 0.3333 0.4519
K: 0.6750 0.1434 0.7500
K: 0.8566 0.5316 0.7500
Hg: 0.1378 0.3266 0.7500
Hg: 0.1888 0.8622 0.7500
Hg: 0.3266 0.1888 0.2500
Hg: 0.6734 0.8112 0.7500
Hg: 0.8112 0.1378 0.2500
Hg: 0.8622 0.6734 0.2500
C: 0.0668 0.6600 0.0871
C: 0.0668 0.6600 0.4129
C: 0.3400 0.4069 0.0871
C: 0.3400 0.4069 0.4129
C: 0.4069 0.0668 0.5871
C: 0.4069 0.0668 0.9129
C: 0.5931 0.9332 0.0871
C: 0.5931 0.9332 0.4129
C: 0.6600 0.5931 0.5871
C: 0.6600 0.5931 0.9129
C: 0.9332 0.3400 0.5871
C: 0.9332 0.3400 0.9129
S: 0.0525 0.3366 0.5533
S: 0.0525 0.3366 0.9467
S: 0.2842 0.9475 0.5533
S: 0.2842 0.9475 0.9467
S: 0.3366 0.2842 0.0533
S: 0.3366 0.2842 0.4467
S: 0.6634 0.7158 0.5533
S: 0.6634 0.7158 0.9467
S: 0.7158 0.0525 0.0533
S: 0.7158 0.0525 0.4467
S: 0.9475 0.6634 0.0533
S: 0.9475 0.6634 0.4467
Br: 0.0319 0.1800 0.2500
Br: 0.1411 0.6366 0.7500
Br: 0.1482 0.9681 0.2500
Br: 0.1800 0.1482 0.7500
Br: 0.3634 0.5045 0.7500
Br: 0.4955 0.8589 0.7500
Br: 0.5045 0.1411 0.2500
Br: 0.6366 0.4955 0.2500
Br: 0.8200 0.8518 0.2500
Br: 0.8518 0.0319 0.7500
Br: 0.8589 0.3634 0.2500
Br: 0.9681 0.8200 0.7500
N: 0.1539 0.6584 0.1062
N: 0.1539 0.6584 0.3938
N: 0.3416 0.4955 0.1062
N: 0.3416 0.4955 0.3938
N: 0.4955 0.1539 0.6062
N: 0.4955 0.1539 0.8938
N: 0.5045 0.8461 0.1062
N: 0.5045 0.8461 0.3938
N: 0.6584 0.5045 0.6062
N: 0.6584 0.5045 0.8938
N: 0.8461 0.3416 0.6062
N: 0.8461 0.3416 0.8938

## Properties
- Formation energy from the elements: -627 meV per atom
- Energy with MP2020 corrections: -5.100 eV per atom
- Total magnetization: 0.000 Bohr magnetons per cell
- Symmetry: P6_3/m (176)
- E: -4.943 eV per atom


(3)
First-principles (GGA-PBE) data for a geometry-optimized InC4Br7N4 structure, as listed in the Materials Project.

abc: 16.4125 7.5353 20.6809
angles: 90.00 128.50 90.00
Fractional positions:
In: 0.0000 0.0000 0.0000
In: 0.0000 0.0000 0.5000
In: 0.5000 0.0000 0.0000
In: 0.5000 0.0000 0.5000
C: 0.1357 0.0961 0.2806
C: 0.1357 0.9039 0.7806
C: 0.1705 0.4808 0.4703
C: 0.1705 0.5192 0.9703
C: 0.3266 0.4944 0.3023
C: 0.3266 0.5056 0.8023
C: 0.3582 0.0988 0.1424
C: 0.3582 0.9012 0.6424
C: 0.6418 0.0988 0.3576
C: 0.6418 0.9012 0.8576
C: 0.6734 0.4944 0.1977
C: 0.6734 0.5056 0.6977
C: 0.8295 0.4808 0.0297
C: 0.8295 0.5192 0.5297
C: 0.8643 0.0961 0.2194
C: 0.8643 0.9039 0.7194
Br: 0.0000 0.3865 0.7500
Br: 0.0000 0.6135 0.2500
Br: 0.0994 0.0130 0.9355
Br: 0.0994 0.9870 0.4355
Br: 0.1171 0.2658 0.1027
Br: 0.1171 0.7342 0.6027
Br: 0.1413 0.2287 0.6149
Br: 0.1413 0.7713 0.1149
Br: 0.3649 0.2450 0.9735
Br: 0.3649 0.7550 0.4735
Br: 0.3738 0.2540 0.4830
Br: 0.3738 0.7460 0.9830
Br: 0.4042 0.0102 0.3377
Br: 0.4042 0.9898 0.8377
Br: 0.5000 0.3864 0.7500
Br: 0.5000 0.6136 0.2500
Br: 0.5958 0.0102 0.1623
Br: 0.5958 0.9898 0.6623
Br: 0.6262 0.2540 0.0170
Br: 0.6262 0.7460 0.5170
Br: 0.6351 0.2450 0.5265
Br: 0.6351 0.7550 0.0265
Br: 0.8587 0.2287 0.8851
Br: 0.8587 0.7713 0.3851
Br: 0.8829 0.2658 0.3973
Br: 0.8829 0.7342 0.8973
Br: 0.9006 0.0130 0.5645
Br: 0.9006 0.9870 0.0645
N: 0.0834 0.4794 0.9391
N: 0.0834 0.5206 0.4391
N: 0.1579 0.0517 0.7783
N: 0.1579 0.9483 0.2783
N: 0.3441 0.0484 0.6180
N: 0.3441 0.9516 0.1180
N: 0.4177 0.4984 0.8554
N: 0.4177 0.5016 0.3554
N: 0.5823 0.4984 0.6446
N: 0.5823 0.5016 0.1446
N: 0.6559 0.0484 0.8820
N: 0.6559 0.9516 0.3820
N: 0.8421 0.0517 0.7217
N: 0.8421 0.9483 0.2217
N: 0.9166 0.4794 0.5609
N: 0.9166 0.5206 0.0609

## Properties
- Formation energy from the elements: 1040 meV per atom
- Energy with MP2020 corrections: -4.240 eV per atom
- Total magnetization: 32.341 Bohr magnetons per cell
- Symmetry: P2/c (13)
- E: -4.150 eV per atom


(4)
First-principles (GGA-PBE) data for a geometry-optimized K2IrCBr5O structure, as listed in the Materials Project.

abc: 15.3178 10.6467 7.4487
angles: 90.00 90.00 90.00
Fractional positions:
K: 0.1517 0.0012 0.1498
K: 0.1517 0.4988 0.1498
K: 0.3483 0.5012 0.6498
K: 0.3483 0.9988 0.6498
K: 0.6517 0.0012 0.3502
K: 0.6517 0.4988 0.3502
K: 0.8483 0.5012 0.8502
K: 0.8483 0.9988 0.8502
Ir: 0.1242 0.2500 0.6998
Ir: 0.3758 0.7500 0.1998
Ir: 0.6242 0.2500 0.8002
Ir: 0.8758 0.7500 0.3002
C: 0.0500 0.7500 0.5476
C: 0.4500 0.2500 0.0476
C: 0.5500 0.7500 0.9524
C: 0.9500 0.2500 0.4524
Br: 0.0224 0.2500 0.9679
Br: 0.1232 0.0131 0.6947
Br: 0.1232 0.4869 0.6947
Br: 0.2221 0.2500 0.4280
Br: 0.2494 0.7500 0.3978
Br: 0.2506 0.2500 0.8978
Br: 0.2779 0.7500 0.9280
Br: 0.3768 0.5131 0.1947
Br: 0.3768 0.9869 0.1947
Br: 0.4776 0.7500 0.4679
Br: 0.5224 0.2500 0.5321
Br: 0.6232 0.0131 0.8053
Br: 0.6232 0.4869 0.8053
Br: 0.7221 0.2500 0.0720
Br: 0.7494 0.7500 0.1022
Br: 0.7506 0.2500 0.6022
Br: 0.7779 0.7500 0.5720
Br: 0.8768 0.5131 0.3053
Br: 0.8768 0.9869 0.3053
Br: 0.9776 0.7500 0.0321
O: 0.0137 0.2500 0.5362
O: 0.4863 0.7500 0.0362
O: 0.5137 0.2500 0.9638
O: 0.9863 0.7500 0.4638

## Properties
- Formation energy from the elements: -887 meV per atom
- Energy with MP2020 corrections: -4.229 eV per atom
- Total magnetization: 0.001 Bohr magnetons per cell
- Symmetry: Pnma (62)
- E: -4.161 eV per atom